Material: Sr2ScF7
Method: DFT, GGA-PBE
State: optimized geometry

Output
Its space group is P2_1/c. Its final energy is -6.24 eV per atom.

Cell lengths 12.324, 5.546, 8.337 Å; angles 89.57, 90.00, 90.00 degrees
Atoms (fractional coordinates):
F 0.245 0.985 0.803
F 0.730 0.487 0.708
F 0.575 0.614 0.129
F 0.463 0.199 0.210
F 0.864 0.199 0.476
F 0.636 0.199 0.976
F 0.136 0.801 0.524
F 0.395 0.512 0.575
F 0.605 0.488 0.425
F 0.037 0.199 0.710
F 0.395 0.984 0.591
F 0.364 0.801 0.024
F 0.105 0.984 0.091
F 0.963 0.801 0.290
F 0.925 0.614 0.629
F 0.770 0.487 0.208
F 0.075 0.386 0.371
F 0.105 0.512 0.075
F 0.745 0.015 0.697
F 0.270 0.513 0.292
F 0.230 0.513 0.792
F 0.895 0.488 0.925
F 0.537 0.801 0.790
F 0.755 0.015 0.197
F 0.605 0.016 0.409
F 0.425 0.386 0.871
F 0.895 0.016 0.909
F 0.255 0.985 0.303
Sr 0.439 0.765 0.323
Sr 0.220 0.235 0.552
Sr 0.780 0.765 0.448
Sr 0.561 0.235 0.677
Sr 0.061 0.765 0.823
Sr 0.280 0.235 0.052
Sr 0.720 0.765 0.948
Sr 0.939 0.235 0.177
Sc 0.374 0.722 0.784
Sc 0.126 0.722 0.284
Sc 0.626 0.278 0.216
Sc 0.874 0.278 0.716

Material: SeF4
Method: DFT, GGA-PBE
State: optimized geometry

Output
Its space group is P2_12_12_1. For the maximum piezoelectric response, the calculation gives 0.1 C/m². Its final energy is -3.93 eV per atom.

Cell lengths 5.389, 5.779, 11.066 Å; angles 90.00, 90.00, 90.00 degrees
Atoms (fractional coordinates):
F 0.161 0.664 0.048
F 0.486 0.159 0.198
F 0.839 0.164 0.452
F 0.407 0.068 0.723
F 0.221 0.090 0.016
F 0.907 0.432 0.277
F 0.721 0.410 0.984
F 0.779 0.590 0.484
F 0.014 0.841 0.698
F 0.279 0.910 0.516
F 0.514 0.659 0.302
F 0.986 0.341 0.802
F 0.661 0.836 0.952
F 0.093 0.932 0.223
F 0.339 0.336 0.548
F 0.593 0.568 0.777
Se 0.840 0.599 0.877
Se 0.160 0.099 0.623
Se 0.340 0.901 0.123
Se 0.660 0.401 0.377

Material: Sm2Se2F
Method: DFT, GGA-PBE
State: optimized geometry

Output
Its space group is P4/mmm. Its final energy is -4.44 eV per atom.

Cell lengths 3.523, 3.523, 12.325 Å; angles 90.00, 90.00, 90.00 degrees
Atoms (fractional coordinates):
Sm 0.500 0.500 0.821
Sm 0.500 0.500 0.179
Se 0.500 0.500 0.409
Se 0.500 0.500 0.591
F 0.500 0.500 0.000

Material: TmSeF
Method: DFT, GGA-PBE
State: optimized geometry

Output
Its space group is P6_3/mmc. Its final energy is -6.12 eV per atom.

Cell lengths 4.049, 4.049, 17.660 Å; angles 90.00, 90.00, 120.00 degrees
Atoms (fractional coordinates):
Se 0.667 0.333 0.589
Se 0.333 0.667 0.411
Se 0.667 0.333 0.911
Se 0.333 0.667 0.089
Tm 0.000 0.000 0.500
Tm 0.000 0.000 0.000
Tm 0.333 0.667 0.250
Tm 0.667 0.333 0.750
F 0.000 0.000 0.750
F 0.333 0.667 0.750
F 0.667 0.333 0.250
F 0.000 0.000 0.250